[1]
Computed, not measured: a geometry-optimized MgCr2Fe4O10 structure at the GGA+U level of DFT.

Properties
Offset from the most stable computed form   68 meV per atom
Density   4.23 Mg/m³
Energy of formation   -180 kJ/mol of atoms
Total energy after the MP2020 corrections   -8.0007 eV/atom

a b c (Å): 5.3496 5.3496 10.5022
angles (deg): 95.67 95.67 42.25
Fractional coordinates of all 17 atoms:
Mg1 0.0000 0.0000 0.0000
Cr1 0.3385 0.3385 0.7351
Cr2 0.6615 0.6615 0.2649
Fe1 0.3269 0.3269 0.1045
Fe2 0.3556 0.3556 0.4473
Fe3 0.6444 0.6444 0.5527
Fe4 0.6731 0.6731 0.8955
O1 0.1869 0.1869 0.9366
O2 0.2025 0.2025 0.5768
O3 0.2194 0.2194 0.2485
O4 0.4683 0.4683 0.6140
O5 0.4799 0.4799 0.8811
O6 0.5201 0.5201 0.1189
O7 0.5317 0.5317 0.3860
O8 0.7806 0.7806 0.7515
O9 0.7975 0.7975 0.4232
O10 0.8131 0.8131 0.0634

[2]
Computed, not measured: a geometry-optimized LiV2O3F structure at the GGA+U level of DFT.

Properties
Offset from the most stable computed form   31 meV per atom
Density   3.89 Mg/m³
Energy of formation   -252 kJ/mol of atoms
Total energy after the MP2020 corrections   -7.8712 eV/atom

a b c (Å): 10.2275 4.9505 5.9286
angles (deg): 90.00 90.00 90.00
Fractional coordinates of all 28 atoms:
Li1 0.0904 0.0425 0.0000
Li2 0.4096 0.5425 0.5000
Li3 0.5904 0.4575 0.0000
Li4 0.9096 0.9575 0.5000
V1 0.0148 0.4844 0.2560
V2 0.2273 0.9875 0.4838
V3 0.2727 0.4875 0.9838
V4 0.4852 0.9844 0.7560
V5 0.5148 0.0156 0.2560
V6 0.7273 0.5125 0.4838
V7 0.7727 0.0125 0.9838
V8 0.9852 0.5156 0.7560
O1 0.0735 0.7466 0.4982
O2 0.0961 0.6731 0.9968
O3 0.1730 0.2456 0.2411
O4 0.3270 0.7456 0.7411
O5 0.4039 0.1731 0.4968
O6 0.4265 0.2466 0.9982
O7 0.5735 0.7534 0.4982
O8 0.5961 0.8269 0.9968
O9 0.6730 0.2544 0.2411
O10 0.8270 0.7544 0.7411
O11 0.9039 0.3269 0.4968
O12 0.9265 0.2534 0.9982
F1 0.1615 0.2426 0.7455
F2 0.3385 0.7426 0.2455
F3 0.6615 0.2574 0.7455
F4 0.8385 0.7574 0.2455

[3]
Computed, not measured: a geometry-optimized Sr4LaMn5O13 structure at the GGA+U level of DFT.

Properties
Offset from the most stable computed form   52 meV per atom
Density   5.37 Mg/m³
Energy of formation   -252 kJ/mol of atoms
Total energy after the MP2020 corrections   -7.9093 eV/atom

a b c (Å): 9.6707 9.6707 8.8729
angles (deg): 90.21 90.21 46.46
Fractional coordinates of all 46 atoms:
Sr1 0.0633 0.5661 0.8018
Sr2 0.2483 0.7517 0.0000
Sr3 0.3508 0.8507 0.6086
Sr4 0.4622 0.9614 0.1933
Sr5 0.5661 0.0633 0.8018
Sr6 0.7517 0.2483 0.0000
Sr7 0.8507 0.3508 0.6086
Sr8 0.9614 0.4622 0.1933
La1 0.1540 0.6589 0.4017
La2 0.6589 0.1540 0.4017
Mn1 0.0575 0.0575 0.2933
Mn2 0.1594 0.1594 0.9030
Mn3 0.2547 0.2547 0.5068
Mn4 0.3548 0.3548 0.1041
Mn5 0.4596 0.4596 0.7016
Mn6 0.5582 0.5582 0.2918
Mn7 0.6570 0.6570 0.8998
Mn8 0.7515 0.7515 0.5039
Mn9 0.8530 0.8530 0.1004
Mn10 0.9593 0.9593 0.6997
O1 0.0155 0.0155 0.4950
O2 0.0646 0.0646 0.8136
O3 0.1082 0.6035 0.1141
O4 0.1132 0.1132 0.1033
O5 0.2058 0.2058 0.7041
O6 0.2075 0.7074 0.6904
O7 0.2570 0.2570 0.9978
O8 0.3025 0.3025 0.3076
O9 0.3188 0.8210 0.3054
O10 0.3644 0.3644 0.5875
O11 0.4038 0.4038 0.9188
O12 0.4490 0.4490 0.2153
O13 0.4768 0.9859 0.4818
O14 0.5208 0.5208 0.4887
O15 0.5578 0.5578 0.8163
O16 0.6035 0.1082 0.1141
O17 0.6155 0.6155 0.1019
O18 0.6995 0.6995 0.7014
O19 0.7074 0.2075 0.6904
O20 0.7562 0.7562 0.9848
O21 0.7917 0.7917 0.3064
O22 0.8210 0.3188 0.3054
O23 0.8602 0.8602 0.5722
O24 0.9101 0.9101 0.8904
O25 0.9469 0.9469 0.2171
O26 0.9859 0.4768 0.4818

[4]
Computed, not measured: a geometry-optimized SrYCoO4 structure at the GGA+U level of DFT.

Properties
Offset from the most stable computed form   16 meV per atom
Density   5.53 Mg/m³
Energy of formation   -262 kJ/mol of atoms
Total energy after the MP2020 corrections   -7.7249 eV/atom

a b c (Å): 5.4230 6.7095 10.1696
angles (deg): 103.39 90.60 90.26
Fractional coordinates of all 28 atoms:
Sr1 0.0000 0.0000 0.0000
Sr2 0.0037 0.4990 0.5007
Sr3 0.4904 0.7481 0.7520
Sr4 0.4949 0.2565 0.2521
Y1 0.5198 0.1598 0.5922
Y2 0.5199 0.6687 0.1015
Y3 0.9729 0.4368 0.8740
Y4 0.9745 0.9398 0.3677
Co1 0.0015 0.4665 0.1818
Co2 0.4947 0.2199 0.9280
Co3 0.4963 0.7144 0.4280
Co4 0.9965 0.9660 0.6782
O1 0.0115 0.6963 0.7727
O2 0.0228 0.2059 0.2672
O3 0.2334 0.1307 0.7882
O4 0.2510 0.6440 0.2861
O5 0.2534 0.8590 0.5426
O6 0.2536 0.3615 0.0452
O7 0.4726 0.4417 0.5221
O8 0.4802 0.9508 0.0145
O9 0.5385 0.4857 0.8748
O10 0.5585 0.9922 0.3645
O11 0.7357 0.1168 0.7982
O12 0.7425 0.6087 0.3031
O13 0.7468 0.8248 0.5602
O14 0.7552 0.3328 0.0609
O15 0.9483 0.1873 0.5696
O16 0.9503 0.6928 0.0802

[5]
Computed, not measured: a geometry-optimized Li2ZrFeP3O12 structure at the GGA+U level of DFT.

Properties
Offset from the most stable computed form   191 meV per atom
Density   2.53 Mg/m³
Energy of formation   -254 kJ/mol of atoms
Total energy after the MP2020 corrections   -7.7070 eV/atom

a b c (Å): 10.8819 10.1008 13.6099
angles (deg): 90.00 128.59 90.00
Fractional coordinates of all 76 atoms:
Li1 0.1228 0.1777 0.2647
Li2 0.1228 0.3223 0.7647
Li3 0.1633 0.0993 0.6474
Li4 0.1633 0.4007 0.1474
Li5 0.8367 0.5993 0.8526
Li6 0.8367 0.9007 0.3526
Li7 0.8772 0.6777 0.2353
Li8 0.8772 0.8223 0.7353
Zr1 0.4572 0.5368 0.2378
Zr2 0.4572 0.9632 0.7378
Zr3 0.5428 0.0368 0.2622
Zr4 0.5428 0.4632 0.7622
Fe1 0.2149 0.6224 0.3328
Fe2 0.2149 0.8776 0.8328
Fe3 0.7851 0.1224 0.1672
Fe4 0.7851 0.3776 0.6672
P1 0.0539 0.5890 0.7916
P2 0.0539 0.9110 0.2916
P3 0.4144 0.1953 0.6114
P4 0.4144 0.3047 0.1114
P5 0.4684 0.2443 0.4208
P6 0.4684 0.2557 0.9208
P7 0.5316 0.7443 0.0792
P8 0.5316 0.7557 0.5792
P9 0.5856 0.6953 0.8886
P10 0.5856 0.8047 0.3886
P11 0.9461 0.0890 0.7084
P12 0.9461 0.4110 0.2084
O1 0.0289 0.6173 0.8881
O2 0.0289 0.8827 0.3881
O3 0.0673 0.7345 0.7500
O4 0.0673 0.7655 0.2500
O5 0.1039 0.0221 0.8298
O6 0.1039 0.4779 0.3298
O7 0.1871 0.0001 0.3257
O8 0.1871 0.4999 0.8257
O9 0.2812 0.1049 0.5783
O10 0.2812 0.3951 0.0783
O11 0.2870 0.5706 0.2431
O12 0.2870 0.9294 0.7431
O13 0.3071 0.2123 0.8082
O14 0.3071 0.2877 0.3082
O15 0.3810 0.1567 0.1104
O16 0.3810 0.3433 0.6104
O17 0.4101 0.6438 0.5072
O18 0.4101 0.8562 0.0072
O19 0.4408 0.6456 0.7567
O20 0.4408 0.8544 0.2567
O21 0.4551 0.1707 0.5195
O22 0.4551 0.3293 0.0195
O23 0.4640 0.6347 0.1123
O24 0.4640 0.8653 0.6123
O25 0.5360 0.1347 0.3877
O26 0.5360 0.3653 0.8877
O27 0.5449 0.6707 0.9805
O28 0.5449 0.8293 0.4805
O29 0.5592 0.1456 0.7433
O30 0.5592 0.3544 0.2433
O31 0.5899 0.1438 0.9928
O32 0.5899 0.3562 0.4928
O33 0.6190 0.6567 0.3896
O34 0.6190 0.8433 0.8896
O35 0.6929 0.7123 0.6918
O36 0.6929 0.7877 0.1918
O37 0.7130 0.0706 0.2569
O38 0.7130 0.4294 0.7569
O39 0.7188 0.6049 0.9217
O40 0.7188 0.8951 0.4217
O41 0.8129 0.9999 0.6743
O42 0.8129 0.5001 0.1743
O43 0.8961 0.5221 0.6702
O44 0.8961 0.9779 0.1702
O45 0.9327 0.2345 0.7500
O46 0.9327 0.2655 0.2500
O47 0.9711 0.1173 0.6119
O48 0.9711 0.3827 0.1119

[6]
Computed, not measured: a geometry-optimized Be3Fe4Si3SeO12 structure at the GGA+U level of DFT.

Properties
Density   3.44 Mg/m³
Energy of formation   -227 kJ/mol of atoms
Total energy after the MP2020 corrections   -7.7535 eV/atom

a b c (Å): 8.3651 8.3651 8.3651
angles (deg): 90.00 90.00 90.00
Fractional coordinates of all 46 atoms:
Be1 0.0000 0.2500 0.5000
Be2 0.0000 0.7500 0.5000
Be3 0.2500 0.5000 0.0000
Be4 0.5000 0.0000 0.2500
Be5 0.5000 0.0000 0.7500
Be6 0.7500 0.5000 0.0000
Fe1 0.1754 0.1754 0.1754
Fe2 0.1754 0.8246 0.8246
Fe3 0.3246 0.3246 0.6754
Fe4 0.3246 0.6754 0.3246
Fe5 0.6754 0.3246 0.3246
Fe6 0.6754 0.6754 0.6754
Fe7 0.8246 0.1754 0.8246
Fe8 0.8246 0.8246 0.1754
Si1 0.0000 0.5000 0.2500
Si2 0.0000 0.5000 0.7500
Si3 0.2500 0.0000 0.5000
Si4 0.5000 0.2500 0.0000
Si5 0.5000 0.7500 0.0000
Si6 0.7500 0.0000 0.5000
Se1 0.0000 0.0000 0.0000
Se2 0.5000 0.5000 0.5000
O1 0.0859 0.3596 0.6439
O2 0.0859 0.6404 0.3561
O3 0.1404 0.4141 0.1439
O4 0.1404 0.5859 0.8561
O5 0.1439 0.1404 0.4141
O6 0.1439 0.8596 0.5859
O7 0.3561 0.0859 0.6404
O8 0.3561 0.9141 0.3596
O9 0.3596 0.3561 0.9141
O10 0.3596 0.6439 0.0859
O11 0.4141 0.1439 0.1404
O12 0.4141 0.8561 0.8596
O13 0.5859 0.1439 0.8596
O14 0.5859 0.8561 0.1404
O15 0.6404 0.3561 0.0859
O16 0.6404 0.6439 0.9141
O17 0.6439 0.0859 0.3596
O18 0.6439 0.9141 0.6404
O19 0.8561 0.1404 0.5859
O20 0.8561 0.8596 0.4141
O21 0.8596 0.4141 0.8561
O22 0.8596 0.5859 0.1439
O23 0.9141 0.3596 0.3561
O24 0.9141 0.6404 0.6439

Question: What is the formula in the fourth record?
Answer: SrYCoO4